Material: Na5In2SiGe2P5O24
Method: DFT, PBE-GGA
State: optimized geometry

Properties
* crystal system: triclinic
* DFT formation energy: -2.487 eV/atom
* total energy: -6.49 eV per atom

```
data_Na5In2SiGe2P5O24
_space_group_name_H-M_alt 'P 1'
_space_group_IT_number 1
_space_group_name_Hall 'P 1'
_cell_length_a 8.813
_cell_length_b 8.846
_cell_length_c 22.199
_cell_angle_alpha 89.71
_cell_angle_beta 89.85
_cell_angle_gamma 60.18
loop_
_atom_site_label
_atom_site_type_symbol
_atom_site_fract_x
_atom_site_fract_y
_atom_site_fract_z
Na1 Na 0.000 0.000 0.000
Na2 Na 0.003 0.633 0.495
Na3 Na 0.273 0.349 0.002
Na4 Na 0.307 0.650 0.913
Na5 Na 0.325 0.663 0.415
Na6 Na 0.327 0.971 0.830
Na7 Na 0.339 0.336 0.331
Na8 Na 0.638 0.010 0.748
Na9 Na 0.639 0.979 0.245
Na10 Na 0.644 0.629 0.998
Na11 Na 0.676 0.662 0.664
Na12 Na 0.935 0.027 0.661
Na13 Na 0.976 0.951 0.330
Na14 Na 0.980 0.320 0.085
Na15 Na 0.985 0.311 0.577
In1 In 0.307 0.654 0.766
In2 In 0.309 0.663 0.269
In3 In 0.637 0.003 0.592
In4 In 0.637 0.997 0.104
In5 In 0.974 0.327 0.928
In6 In 0.979 0.327 0.731
Si1 Si 0.349 0.988 0.999
Si2 Si 0.942 0.999 0.496
Si3 Si 0.958 0.616 0.333
Ge1 Ge 0.306 0.664 0.558
Ge2 Ge 0.309 0.668 0.069
Ge3 Ge 0.641 0.990 0.898
Ge4 Ge 0.648 0.982 0.397
Ge5 Ge 0.971 0.336 0.227
Ge6 Ge 0.974 0.324 0.432
P1 P 0.017 0.965 0.168
P2 P 0.020 0.657 0.659
P3 P 0.262 0.050 0.333
P4 P 0.288 0.317 0.836
P5 P 0.296 0.375 0.167
P6 P 0.307 0.950 0.662
P7 P 0.345 0.289 0.493
P8 P 0.593 0.373 0.660
P9 P 0.609 0.647 0.166
P10 P 0.633 0.287 0.998
P11 P 0.639 0.695 0.496
P12 P 0.675 0.638 0.833
P13 P 0.696 0.320 0.333
P14 P 0.935 0.707 0.999
P15 P 0.962 0.025 0.833
O1 O 0.001 0.493 0.663
O2 O 0.012 0.144 0.171
O3 O 0.091 0.862 0.226
O4 O 0.096 0.693 0.715
O5 O 0.120 0.692 0.005
O6 O 0.123 0.365 0.168
O7 O 0.126 0.844 0.829
O8 O 0.129 0.636 0.600
O9 O 0.131 0.641 0.332
O10 O 0.135 0.813 0.501
O11 O 0.135 0.872 0.110
O12 O 0.136 0.128 0.663
O13 O 0.143 0.133 0.388
O14 O 0.150 0.149 0.992
O15 O 0.154 0.322 0.486
O16 O 0.183 0.166 0.275
O17 O 0.187 0.343 0.895
O18 O 0.202 0.279 0.782
O19 O 0.273 0.493 0.108
O20 O 0.279 0.852 0.608
O21 O 0.281 0.868 0.330
O22 O 0.313 0.474 0.830
O23 O 0.317 0.452 0.225
O24 O 0.328 0.475 0.499
O25 O 0.335 0.853 0.722
O26 O 0.339 0.804 0.008
O27 O 0.409 0.182 0.551
O28 O 0.423 0.047 0.054
O29 O 0.446 0.038 0.340
O30 O 0.457 0.194 0.162
O31 O 0.459 0.467 0.005
O32 O 0.465 0.200 0.437
O33 O 0.467 0.143 0.841
O34 O 0.473 0.677 0.503
O35 O 0.473 0.963 0.655
O36 O 0.479 0.944 0.938
O37 O 0.486 0.672 0.830
O38 O 0.498 0.493 0.604
O39 O 0.499 0.450 0.719
O40 O 0.499 0.676 0.221
O41 O 0.510 0.477 0.330
O42 O 0.521 0.624 0.106
O43 O 0.599 0.199 0.942
O44 O 0.601 0.825 0.443
O45 O 0.619 0.188 0.658
O46 O 0.639 0.803 0.161
O47 O 0.664 0.820 0.837
O48 O 0.677 0.151 0.339
O49 O 0.683 0.761 0.554
O50 O 0.688 0.170 0.053
O51 O 0.753 0.533 0.890
O52 O 0.777 0.360 0.661
O53 O 0.780 0.555 0.774
O54 O 0.782 0.346 0.389
O55 O 0.784 0.327 0.989
O56 O 0.784 0.815 0.339
O57 O 0.788 0.471 0.169
O58 O 0.792 0.016 0.841
O59 O 0.805 0.514 0.487
O60 O 0.814 0.281 0.276
O61 O 0.821 0.779 0.054
O62 O 0.833 0.819 0.656
O63 O 0.834 0.988 0.161
O64 O 0.840 0.034 0.559
O65 O 0.844 0.951 0.441
O66 O 0.852 0.829 0.943
O67 O 0.932 0.525 0.272
O68 O 0.935 0.132 0.774
O69 O 0.962 0.522 0.991
O70 O 0.966 0.169 0.486
O71 O 0.997 0.492 0.392
O72 O 0.999 0.104 0.888
```

Material: Tb2Ge6Au
Method: DFT, PBE-GGA
State: optimized geometry

Properties
* crystal system: orthorhombic
* DFT formation energy: -0.385 eV/atom
* total energy: -4.86 eV per atom

```
data_Tb2Ge6Au
_space_group_name_H-M_alt 'A m m 2'
_space_group_IT_number 38
_space_group_name_Hall 'A 2 -2'
_cell_length_a 4.131
_cell_length_b 4.147
_cell_length_c 22.200
_cell_angle_alpha 90.00
_cell_angle_beta 90.00
_cell_angle_gamma 90.00
loop_
_atom_site_label
_atom_site_type_symbol
_atom_site_fract_x
_atom_site_fract_y
_atom_site_fract_z
Tb1 Tb 0.000 0.000 0.000
Tb2 Tb 0.000 0.000 0.342
Ge1 Ge 0.000 0.000 0.630
Ge2 Ge 0.000 0.000 0.743
Ge3 Ge 0.500 0.000 0.129
Ge4 Ge 0.500 0.000 0.243
Ge5 Ge 0.500 0.000 0.447
Ge6 Ge 0.500 0.000 0.880
Au1 Au 0.500 0.000 0.559
```

Material: Ca2HCl2
Method: DFT, PBE-GGA
State: optimized geometry

Properties
* crystal system: tetragonal
* DFT formation energy: -0.885 eV/atom
* total energy: -2.86 eV per atom

```
data_Ca2HCl2
_space_group_name_H-M_alt 'P 4/m m m'
_space_group_IT_number 123
_space_group_name_Hall '-P 4 2'
_cell_length_a 4.850
_cell_length_b 4.850
_cell_length_c 14.854
_cell_angle_alpha 90.00
_cell_angle_beta 90.00
_cell_angle_gamma 90.00
loop_
_atom_site_label
_atom_site_type_symbol
_atom_site_fract_x
_atom_site_fract_y
_atom_site_fract_z
Ca1 Ca 0.000 0.000 0.142
H1 H 0.000 0.000 0.000
Cl1 Cl 0.000 0.000 0.303
```

Material: KSbO3
Method: DFT, PBE-GGA
State: optimized geometry

Properties
* crystal system: triclinic
* DFT formation energy: -1.289 eV/atom
* total energy: -5.21 eV per atom

```
data_KSbO3
_space_group_name_H-M_alt 'P -1'
_space_group_IT_number 2
_space_group_name_Hall '-P 1'
_cell_length_a 4.990
_cell_length_b 6.234
_cell_length_c 6.826
_cell_angle_alpha 72.29
_cell_angle_beta 69.06
_cell_angle_gamma 67.33
loop_
_atom_site_label
_atom_site_type_symbol
_atom_site_fract_x
_atom_site_fract_y
_atom_site_fract_z
K1 K 0.096 0.186 0.091
Sb1 Sb 0.276 0.261 0.501
O1 O 0.061 0.879 0.478
O2 O 0.073 0.542 0.286
O3 O 0.423 0.953 0.718
```

Number 1: total moment 0.0 μB per cell. Number 2: total moment 0.0 μB per cell. Number 3: total moment 0.7 μB per cell. Number 4: total moment 0.0 μB per cell.